Here is a relaxed structure of Ba3Sr5Co4Cu4O20 from the Materials Project database. Energies are from PBE+U.

Summary:
* total magnetization: 57.231 μB/cell
* MP2020-corrected energy: -6.353 eV per atom
* DFT formation energy: -1964 meV per atom

Cell and atoms, written as POSCAR:
```
Ba3Sr5Co4Cu4O20
1.0
0.766 -6.534 9.083
-7.360 6.494 5.322
-8.854 -9.224 -12.790
O Ba Cu Sr Co
80 12 16 20 16
direct
0.691 0.705 0.367
0.869 0.366 0.996
0.876 0.114 0.994
0.721 0.468 0.262
0.067 0.090 0.635
0.428 0.411 0.860
0.451 0.549 0.749
0.824 0.801 0.638
0.570 0.588 0.635
0.220 0.464 0.262
0.958 0.531 0.736
0.685 0.183 0.860
0.880 0.113 0.496
0.120 0.386 0.506
0.200 0.439 0.747
0.441 0.909 0.364
0.472 0.544 0.263
0.207 0.959 0.736
0.976 0.039 0.264
0.930 0.907 0.366
0.370 0.370 0.506
0.870 0.371 0.507
0.436 0.915 0.859
0.970 0.543 0.261
0.677 0.697 0.860
0.190 0.205 0.365
0.693 0.208 0.368
0.621 0.124 0.992
0.377 0.111 0.991
0.611 0.880 0.997
0.382 0.613 0.496
0.132 0.632 0.497
0.115 0.383 0.996
0.192 0.685 0.858
0.127 0.136 0.993
0.630 0.133 0.496
0.442 0.410 0.367
0.328 0.797 0.636
0.820 0.313 0.144
0.869 0.870 0.507
0.382 0.612 0.992
0.186 0.196 0.859
0.074 0.583 0.146
0.941 0.409 0.366
0.325 0.812 0.142
0.118 0.885 0.508
0.713 0.464 0.739
0.228 0.979 0.252
0.611 0.378 0.996
0.822 0.293 0.633
0.193 0.696 0.368
0.882 0.613 0.497
0.474 0.045 0.263
0.326 0.302 0.636
0.065 0.083 0.141
0.364 0.864 0.995
0.572 0.084 0.147
0.926 0.926 0.861
0.860 0.866 0.998
0.951 0.053 0.749
0.630 0.630 0.993
0.362 0.365 0.997
0.131 0.136 0.499
0.822 0.812 0.144
0.632 0.633 0.496
0.450 0.054 0.748
0.133 0.631 0.992
0.695 0.940 0.746
0.620 0.386 0.506
0.619 0.887 0.507
0.577 0.090 0.639
0.111 0.886 0.997
0.722 0.972 0.262
0.322 0.314 0.145
0.080 0.589 0.637
0.370 0.871 0.508
0.384 0.116 0.499
0.573 0.581 0.145
0.938 0.411 0.857
0.882 0.612 0.993
0.687 0.434 0.875
0.309 0.558 0.119
0.557 0.309 0.118
0.935 0.687 0.875
0.185 0.939 0.875
0.808 0.555 0.117
0.188 0.944 0.382
0.559 0.812 0.119
0.805 0.058 0.119
0.308 0.058 0.119
0.058 0.810 0.117
0.056 0.312 0.118
0.611 0.603 0.746
0.121 0.603 0.257
0.870 0.398 0.257
0.372 0.399 0.257
0.119 0.594 0.746
0.119 0.111 0.254
0.623 0.111 0.258
0.374 0.898 0.254
0.112 0.103 0.746
0.868 0.392 0.744
0.621 0.607 0.257
0.367 0.900 0.746
0.612 0.094 0.748
0.858 0.904 0.748
0.361 0.397 0.748
0.869 0.897 0.256
0.695 0.944 0.389
0.303 0.059 0.615
0.194 0.440 0.883
0.052 0.305 0.614
0.310 0.559 0.614
0.807 0.059 0.614
0.445 0.696 0.390
0.691 0.943 0.885
0.056 0.803 0.612
0.194 0.445 0.390
0.440 0.192 0.884
0.443 0.195 0.389
0.557 0.305 0.613
0.802 0.559 0.613
0.555 0.803 0.612
0.445 0.693 0.884
0.942 0.193 0.885
0.942 0.693 0.390
0.943 0.195 0.390
0.694 0.444 0.390
0.743 0.745 0.990
0.743 0.242 0.989
0.992 0.490 0.988
0.002 0.500 0.503
0.751 0.752 0.503
0.751 0.251 0.502
0.253 0.751 0.504
0.494 0.493 0.989
0.494 0.994 0.985
0.501 0.500 0.502
0.000 0.001 0.505
0.248 0.744 0.990
0.252 0.254 0.506
0.243 0.245 0.988
0.991 0.998 0.992
0.502 0.002 0.505
```


Here is a relaxed structure of Ba7SrCoCu7O24 from the Materials Project database. Energies are from PBE+U.

Summary:
* total magnetization: 10.395 μB/cell
* MP2020-corrected energy: -5.938 eV per atom
* DFT formation energy: -1696 meV per atom

Cell and atoms, written as POSCAR:
```
Ba7SrCoCu7O24
1.0
-1.970 2.461 7.344
-7.734 -0.246 -1.997
-0.384 -7.601 2.440
O Cu Co Ba Sr
24 7 1 7 1
direct
0.006 0.006 0.250
0.494 0.251 0.006
0.496 0.257 0.496
0.496 0.496 0.257
0.749 0.001 0.499
0.499 0.749 0.001
0.006 0.251 0.494
0.494 0.006 0.251
0.749 0.499 0.001
0.001 0.749 0.499
0.499 0.001 0.749
0.001 0.750 0.001
0.251 0.494 0.006
0.742 0.499 0.499
0.499 0.742 0.499
0.006 0.494 0.251
0.499 0.499 0.742
0.001 0.001 0.750
0.251 0.006 0.494
0.006 0.250 0.006
0.750 0.001 0.001
0.001 0.499 0.749
0.250 0.006 0.006
0.257 0.496 0.496
0.000 0.000 0.000
0.000 0.000 0.500
0.000 0.500 0.000
0.000 0.500 0.500
0.500 0.000 0.000
0.500 0.000 0.500
0.500 0.500 0.000
0.499 0.499 0.499
0.751 0.249 0.249
0.249 0.751 0.751
0.751 0.751 0.249
0.249 0.249 0.751
0.751 0.249 0.751
0.249 0.751 0.249
0.751 0.751 0.751
0.248 0.248 0.248
```


Here is a relaxed structure of Ba6Y3Co3Cu6O22 from the Materials Project database. Energies are from PBE+U.

Summary:
* total magnetization: 9.266 μB/cell
* MP2020-corrected energy: -6.843 eV per atom
* DFT formation energy: -2201 meV per atom

Cell and atoms, written as POSCAR:
```
Ba6Y3Co3Cu6O22
1.0
3.895 0.000 0.000
0.008 11.792 0.000
0.012 3.924 11.752
O Ba Co Cu Y
22 6 3 6 3
direct
0.996 0.708 0.847
0.004 0.292 0.153
0.001 0.042 0.378
0.999 0.947 0.158
0.001 0.294 0.624
0.499 0.794 0.621
0.999 0.706 0.376
0.500 0.874 0.380
0.001 0.053 0.842
0.500 0.126 0.620
0.501 0.206 0.379
0.000 0.373 0.380
0.972 0.845 0.999
0.028 0.155 0.001
0.999 0.958 0.622
0.501 0.459 0.621
0.003 0.393 0.847
0.499 0.541 0.379
0.997 0.607 0.153
0.507 0.346 0.000
0.493 0.654 0.000
0.000 0.627 0.620
0.500 0.439 0.183
0.495 0.890 0.818
0.495 0.769 0.182
0.505 0.231 0.818
0.500 0.561 0.817
0.505 0.110 0.182
0.008 0.318 0.000
0.992 0.682 0.000
0.000 0.000 0.000
0.999 0.546 0.360
0.001 0.214 0.359
0.000 0.118 0.647
0.000 0.882 0.353
0.001 0.454 0.640
0.999 0.786 0.641
0.500 0.000 0.500
0.500 0.668 0.499
0.500 0.332 0.501
```


Here is a relaxed structure of Ba2Dy2Co4O11 from the Materials Project database. Energies are from PBE+U.

Summary:
* total magnetization: 12.019 μB/cell
* MP2020-corrected energy: -7.353 eV per atom
* DFT formation energy: -2305 meV per atom

Cell and atoms, written as POSCAR:
```
Ba2Dy2Co4O11
1.0
3.925 0.000 0.000
0.000 7.701 0.000
0.000 0.000 7.794
O Ba Co Dy
11 2 4 2
direct
0.500 0.682 0.500
0.500 0.280 0.000
0.500 0.720 0.000
0.000 0.500 0.000
0.000 0.000 0.500
0.000 0.697 0.269
0.500 0.318 0.500
0.000 0.000 0.000
0.000 0.303 0.269
0.000 0.303 0.731
0.000 0.697 0.731
0.500 0.000 0.751
0.500 0.000 0.249
0.000 0.255 0.000
0.000 0.745 0.000
0.000 0.740 0.500
0.000 0.260 0.500
0.500 0.500 0.771
0.500 0.500 0.229
```


Here is a relaxed structure of BaDyCo4O7 from the Materials Project database. Energies are from PBE+U.

Summary:
* MP2020-corrected energy: -7.424 eV per atom
* DFT formation energy: -2071 meV per atom

Cell and atoms, written as POSCAR:
```
BaDyCo4O7
1.0
-6.140 -1.749 -0.344
3.452 -1.452 5.182
-2.816 9.018 4.404
O Co Ba Dy
14 8 2 2
direct
0.491 0.983 0.759
0.167 0.833 0.502
0.665 0.833 0.502
0.000 0.000 0.243
0.833 0.665 0.002
0.509 0.491 0.259
0.833 0.167 0.002
0.167 0.335 0.502
0.335 0.167 0.002
0.491 0.509 0.759
0.509 0.017 0.259
0.983 0.491 0.259
0.017 0.509 0.759
0.000 0.000 0.743
0.000 0.000 0.441
0.661 0.831 0.686
0.169 0.339 0.686
0.339 0.169 0.186
0.831 0.169 0.186
0.169 0.831 0.686
0.831 0.661 0.186
0.000 0.000 0.941
0.333 0.667 0.979
0.667 0.333 0.479
0.333 0.667 0.376
0.667 0.333 0.876
```


Here is a relaxed structure of BaEr2CoO5 from the Materials Project database. Energies are from PBE+U.

Summary:
* total magnetization: 4.000 μB/cell
* MP2020-corrected energy: -7.872 eV per atom
* DFT formation energy: -3105 meV per atom
* excess energy over the best structure of this formula in the dataset: 5.8 kJ per mole of atoms

Cell and atoms, written as POSCAR:
```
BaEr2CoO5
1.0
-3.301 4.651 -0.454
-1.258 -1.556 -6.791
-9.797 -6.628 3.334
Ba O Er Co
4 20 8 4
direct
0.750 0.079 0.101
0.250 0.921 0.899
0.250 0.579 0.399
0.750 0.421 0.601
0.500 0.638 0.775
0.750 0.922 0.897
0.997 0.165 0.434
0.497 0.665 0.066
0.000 0.862 0.275
0.000 0.138 0.725
0.250 0.422 0.603
0.000 0.638 0.775
0.003 0.665 0.066
0.003 0.835 0.566
0.497 0.835 0.566
0.503 0.165 0.434
0.503 0.335 0.934
0.500 0.138 0.725
0.997 0.335 0.934
0.500 0.362 0.225
0.500 0.862 0.275
0.000 0.362 0.225
0.250 0.078 0.103
0.750 0.578 0.397
0.750 0.902 0.426
0.250 0.098 0.574
0.750 0.880 0.709
0.750 0.598 0.926
0.750 0.620 0.209
0.250 0.402 0.074
0.250 0.120 0.291
0.250 0.380 0.791
0.250 0.692 0.652
0.250 0.808 0.152
0.750 0.192 0.848
0.750 0.308 0.348
```


Here is a relaxed structure of BaEr2CoO5 from the Materials Project database. Energies are from PBE+U.

Summary:
* total magnetization: 3.014 μB/cell
* MP2020-corrected energy: -7.932 eV per atom
* DFT formation energy: -3166 meV per atom
* excess energy over the best structure of this formula in the dataset: 0.0 kJ per mole of atoms

Cell and atoms, written as POSCAR:
```
BaEr2CoO5
1.0
-3.617 0.000 1.055
-0.732 5.169 -2.509
0.738 -5.173 -4.194
Co O Er Ba
1 5 2 1
direct
0.500 0.500 0.000
0.652 0.411 0.304
0.652 0.893 0.305
0.000 0.500 0.000
0.348 0.107 0.695
0.348 0.589 0.696
0.796 0.296 0.593
0.204 0.704 0.407
0.000 0.000 0.000
```


Here is a relaxed structure of BaCoF4 from the Materials Project database. Energies are from PBE+U.

Summary:
* MP2020-corrected energy: -6.035 eV per atom
* largest piezoelectric modulus: 1.0 C/m²
* DFT formation energy: -3254 meV per atom

Cell and atoms, written as POSCAR:
```
BaCoF4
1.0
-0.787 6.414 -4.236
-1.408 -3.708 6.631
5.129 2.138 2.284
F Co Ba
8 2 2
direct
0.531 0.469 0.175
0.924 0.076 0.983
0.301 0.699 0.807
0.662 0.338 0.775
0.699 0.301 0.307
0.338 0.662 0.275
0.469 0.531 0.675
0.076 0.924 0.483
0.586 0.414 0.498
0.414 0.586 0.998
0.852 0.148 0.544
0.148 0.852 0.044
```


Here is a relaxed structure of BaLiCoF6 from the Materials Project database. Energies are from PBE+U.

Summary:
* total magnetization: 0.000 μB/cell
* MP2020-corrected energy: -5.525 eV per atom
* DFT formation energy: -3034 meV per atom

Cell and atoms, written as POSCAR:
```
BaLiCoF6
1.0
10.349 0.000 0.000
0.000 5.628 0.000
0.000 0.185 8.543
Ba F Li Co
4 24 4 4
direct
0.299 0.684 0.497
0.201 0.684 0.997
0.799 0.316 0.003
0.701 0.316 0.503
0.245 0.378 0.252
0.909 0.675 0.474
0.370 0.898 0.183
0.130 0.898 0.683
0.102 0.134 0.944
0.745 0.622 0.248
0.005 0.516 0.818
0.099 0.891 0.284
0.898 0.866 0.056
0.398 0.134 0.444
0.599 0.109 0.216
0.255 0.378 0.752
0.630 0.102 0.817
0.091 0.325 0.526
0.401 0.891 0.784
0.995 0.484 0.182
0.495 0.516 0.318
0.755 0.622 0.748
0.870 0.102 0.317
0.602 0.866 0.556
0.901 0.109 0.716
0.505 0.484 0.682
0.591 0.675 0.974
0.409 0.325 0.026
0.073 0.233 0.309
0.573 0.767 0.191
0.427 0.233 0.809
0.927 0.767 0.691
0.919 0.777 0.267
0.419 0.223 0.233
0.081 0.223 0.733
0.581 0.777 0.767
```